1.
A plane-wave DFT calculation with PBE-GGA was carried out for a relaxed structure of Ho2SiSeO4.

Lattice parameters (Å, degrees): 6.0420 6.9509 10.8214 90.00 90.00 90.00
With the nearest neighbours (Å) after each atom.
Sites, in units of the cell vectors:
Ho  0.1094  0.2500  0.0000  6 O 2.34-2.43
Ho  0.1094  0.2500  0.5000  6 O 2.34-2.43
Ho  0.3659  0.5277  0.2500  6 O 2.38-2.54
Ho  0.3659  0.9723  0.7500  6 O 2.38-2.54
Ho  0.6341  0.0277  0.2500  6 O 2.38-2.54
Ho  0.6341  0.4723  0.7500  6 O 2.38-2.54
Ho  0.8906  0.7500  0.0000  6 O 2.34-2.43
Ho  0.8906  0.7500  0.5000  6 O 2.34-2.43
Si  0.3853  0.7500  0.0000  4 O 1.64-1.65
Si  0.3853  0.7500  0.5000  4 O 1.64-1.65
Si  0.6147  0.2500  0.0000  4 O 1.64-1.65
Si  0.6147  0.2500  0.5000  4 O 1.64-1.65
Se  0.0710  0.6319  0.7500  4 Ho 2.86-3.03
Se  0.0710  0.8681  0.2500  4 Ho 2.86-3.03
Se  0.9290  0.1319  0.7500  4 Ho 2.86-3.03
Se  0.9290  0.3681  0.2500  4 Ho 2.86-3.03
O  0.2216  0.5678  0.0314  1 Si 1.64
O  0.2216  0.5678  0.4686  1 Si 1.64
O  0.2216  0.9322  0.5314  1 Si 1.64
O  0.2216  0.9322  0.9686  1 Si 1.64
O  0.4475  0.2406  0.6210  1 Si 1.65
O  0.4475  0.2406  0.8790  1 Si 1.65
O  0.4475  0.2594  0.1210  1 Si 1.65
O  0.4475  0.2594  0.3790  1 Si 1.65
O  0.5525  0.7406  0.6210  1 Si 1.65
O  0.5525  0.7406  0.8790  1 Si 1.65
O  0.5525  0.7594  0.1210  1 Si 1.65
O  0.5525  0.7594  0.3790  1 Si 1.65
O  0.7784  0.0678  0.0314  1 Si 1.64
O  0.7784  0.0678  0.4686  1 Si 1.64
O  0.7784  0.4322  0.5314  1 Si 1.64
O  0.7784  0.4322  0.9686  1 Si 1.64

Calculated values
DFT formation energy = -3.347 eV/atom
Calculated total energy = -7.7378 eV per atom
Crystal system = orthorhombic
Symmetry = Pbcm, No. 57

2.
A plane-wave DFT calculation with PBE-GGA was carried out for a relaxed structure of Ho2SiO5.

Lattice parameters (Å, degrees): 9.1235 6.8476 6.7237 90.00 105.23 90.00
With the nearest neighbours (Å) after each atom.
Sites, in units of the cell vectors:
Ho  0.0294  0.1238  0.2314  6 O 2.23-2.46
Ho  0.0294  0.3762  0.7314  6 O 2.23-2.46
Ho  0.3698  0.1393  0.0488  7 O 2.25-2.46
Ho  0.3698  0.3607  0.5488  7 O 2.25-2.46
Ho  0.6302  0.6393  0.4512  7 O 2.25-2.46
Ho  0.6302  0.8607  0.9512  7 O 2.25-2.46
Ho  0.9706  0.6238  0.2686  6 O 2.23-2.46
Ho  0.9706  0.8762  0.7686  6 O 2.23-2.46
Si  0.2992  0.5906  0.0218  4 O 1.61-1.67
Si  0.2992  0.9094  0.5218  4 O 1.61-1.67
Si  0.7008  0.0906  0.4782  4 O 1.61-1.67
Si  0.7008  0.4094  0.9782  4 O 1.61-1.67
O  0.1125  0.1194  0.9371  4 Ho 2.23-2.30
O  0.1125  0.3806  0.4371  4 Ho 2.23-2.30
O  0.1146  0.6375  0.9869  1 Si 1.67
O  0.1146  0.8625  0.4869  1 Si 1.67
O  0.2907  0.0700  0.3315  1 Si 1.67
O  0.2907  0.4300  0.8315  1 Si 1.67
O  0.3707  0.0536  0.7181  1 Si 1.64
O  0.3707  0.4464  0.2181  1 Si 1.64
O  0.3963  0.7137  0.5163  1 Si 1.61
O  0.3963  0.7863  0.0163  1 Si 1.61
O  0.6037  0.2137  0.9837  1 Si 1.61
O  0.6037  0.2863  0.4837  1 Si 1.61
O  0.6293  0.5536  0.7819  1 Si 1.64
O  0.6293  0.9464  0.2819  1 Si 1.64
O  0.7093  0.5700  0.1685  1 Si 1.67
O  0.7093  0.9300  0.6685  1 Si 1.67
O  0.8854  0.1375  0.5131  1 Si 1.67
O  0.8854  0.3625  0.0131  1 Si 1.67
O  0.8875  0.6194  0.5629  4 Ho 2.23-2.30
O  0.8875  0.8806  0.0629  4 Ho 2.23-2.30

Calculated values
DFT formation energy = -3.802 eV/atom
Calculated total energy = -8.2892 eV per atom
Crystal system = monoclinic
Symmetry = P2_1/c, No. 14

3.
A plane-wave DFT calculation with PBE-GGA was carried out for a relaxed structure of HoSiO3.

Lattice parameters (Å, degrees): 3.7096 3.7096 3.7096 90.00 90.00 90.00
With the nearest neighbours (Å) after each atom.
Sites, in units of the cell vectors:
Ho  0.0000  0.0000  0.0000  12 O 2.62
Si  0.5000  0.5000  0.5000  6 O 1.85
O  0.0000  0.5000  0.5000  2 Si 1.85
O  0.5000  0.0000  0.5000  2 Si 1.85
O  0.5000  0.5000  0.0000  2 Si 1.85

Calculated values
DFT formation energy = -2.787 eV/atom
Calculated total energy = -7.3448 eV per atom
Crystal system = cubic
Symmetry = Pm-3m, No. 221

4.
A plane-wave DFT calculation with PBE-GGA was carried out for a relaxed structure of SmHoO3.

Lattice parameters (Å, degrees): 6.0241 8.4469 5.7651 90.00 90.00 90.00
With the nearest neighbours (Å) after each atom.
Sites, in units of the cell vectors:
Sm  0.0522  0.2500  0.0150  4 O 2.29-2.44
Sm  0.4478  0.7500  0.5150  4 O 2.29-2.44
Sm  0.5522  0.2500  0.4850  4 O 2.29-2.44
Sm  0.9478  0.7500  0.9850  4 O 2.29-2.44
Ho  0.0000  0.0000  0.5000  6 O 2.23-2.30
Ho  0.0000  0.5000  0.5000  6 O 2.23-2.30
Ho  0.5000  0.0000  0.0000  6 O 2.23-2.30
Ho  0.5000  0.5000  0.0000  6 O 2.23-2.30
O  0.0715  0.7500  0.3606  2 Sm 2.29-2.44, 2 Ho 2.30
O  0.1867  0.5730  0.8166  2 Ho 2.23-2.25, 1 Sm 2.29
O  0.1867  0.9270  0.8166  2 Ho 2.23-2.25, 1 Sm 2.29
O  0.3133  0.0730  0.3166  2 Ho 2.23-2.25, 1 Sm 2.29
O  0.3133  0.4270  0.3166  2 Ho 2.23-2.25, 1 Sm 2.29
O  0.4285  0.2500  0.8606  2 Sm 2.29-2.44, 2 Ho 2.30
O  0.5715  0.7500  0.1394  2 Sm 2.29-2.44, 2 Ho 2.30
O  0.6867  0.5730  0.6834  2 Ho 2.23-2.25, 1 Sm 2.29
O  0.6867  0.9270  0.6834  2 Ho 2.23-2.25, 1 Sm 2.29
O  0.8133  0.0730  0.1834  2 Ho 2.23-2.25, 1 Sm 2.29
O  0.8133  0.4270  0.1834  2 Ho 2.23-2.25, 1 Sm 2.29
O  0.9285  0.2500  0.6394  2 Sm 2.29-2.44, 2 Ho 2.30

Calculated values
DFT formation energy = -3.881 eV/atom
Calculated total energy = -8.2977 eV per atom
Crystal system = orthorhombic
Symmetry = Pnma, No. 62